Record 1
182
Lattice="0.697 -5.050 4.012 -8.043 5.716 9.325 -15.690 -8.852 -7.809" Properties=species:S:1:pos:R:3 comment="GGA-PBE Na5P3H48C4NO27F3, relaxed" magmom_total_mub_per_cell=0.01 delta_e_f_mev_per_atom=-1374.5 pbc="T T T"
H -17.798 -8.096 -1.452
H -7.238 -2.072 9.217
H -11.292 0.803 6.588
C -14.362 -9.342 -1.505
O -5.260 0.569 7.715
C -12.105 -9.979 -0.771
H -13.913 -0.194 5.692
H -15.798 -6.114 -3.690
F -7.455 -1.784 6.531
Na -2.998 -1.928 5.133
H -6.860 1.915 9.819
O -15.176 -1.399 2.775
C -10.931 1.794 6.298
N -13.551 -9.875 -0.364
O -17.775 -8.754 -2.188
Na -7.606 -3.063 0.458
H -14.722 -8.911 1.128
Na -13.547 -1.927 0.708
H -7.492 -5.879 2.558
Na -20.902 -8.501 3.724
P -6.370 -2.307 5.449
H -14.411 -1.274 3.361
H -3.453 -2.118 2.162
H -17.321 -3.598 3.376
H -14.336 -4.743 1.306
O -8.650 -8.721 0.318
Na -9.488 -6.259 4.819
O -1.351 -1.333 0.033
H -5.237 -0.090 6.980
P -11.103 -5.807 -0.878
O -7.666 -4.986 -0.957
H -13.355 -4.564 3.149
O -7.859 -6.786 2.752
H -8.780 1.821 7.891
H -15.543 -2.307 2.970
H -9.122 -7.991 -0.164
H -15.416 -9.286 -1.214
O -17.751 -6.957 0.052
H -17.931 -1.928 5.032
H -13.443 -1.212 8.395
O -0.647 -3.037 4.140
O -1.499 -4.717 1.995
H -17.122 -9.613 1.867
O -7.157 -2.417 4.140
O -11.983 -1.156 2.402
O -2.223 -2.907 7.179
F -12.279 -8.360 -3.777
H -14.143 -6.542 -3.162
H -16.089 -2.602 6.138
H -14.639 -6.858 -4.851
H -8.454 -5.569 -1.044
H -21.989 -2.328 2.233
O -16.089 -9.159 -4.596
H -13.740 0.913 4.554
H -14.001 -8.349 -1.768
O -11.914 -3.654 7.231
O -20.812 -5.278 -1.652
H -7.852 0.916 10.510
O -9.934 -6.748 -1.214
O -19.588 -6.776 2.662
H -17.651 -8.611 0.728
Na -2.133 0.315 1.803
P -11.933 -2.379 6.406
F -10.756 0.174 9.304
H -6.946 -5.583 -0.611
Na -15.857 -4.706 8.183
N -9.484 1.689 5.892
O -11.698 -2.570 4.906
O -13.101 -1.437 6.742
H -10.276 -3.460 4.504
H -14.255 -10.006 -2.364
O -13.301 -4.751 4.123
H -22.042 -4.662 2.179
H -8.893 -1.643 8.689
H -17.669 -10.952 -0.106
H -8.699 -3.442 4.221
H -14.581 -2.617 6.572
O -19.554 -3.917 0.812
H -1.983 -2.074 0.236
H -7.797 -1.440 2.700
H -18.205 -5.091 5.843
H -19.364 -3.485 1.681
H -15.183 -9.102 -4.982
H -11.835 -1.648 3.246
Na -7.179 -3.479 -2.656
H -5.274 -1.872 -1.171
C -8.287 -2.000 9.522
H -9.592 -6.973 -2.868
O -5.355 1.372 4.484
H -12.236 -5.305 -3.924
H -4.830 -3.095 -0.316
H -8.396 -1.328 10.378
C -8.673 1.156 7.032
C -14.749 -6.186 -3.995
H -10.851 -7.972 2.862
O -3.481 -4.269 4.715
F -15.581 -6.402 -1.004
H -1.047 -5.858 3.295
H -7.550 -0.185 1.787
H -15.239 -6.746 2.828
H -5.743 0.163 8.461
O -7.997 -1.069 1.807
H -12.748 -4.012 4.475
O -17.440 -5.445 6.360
H -9.035 0.164 7.295
O -19.025 -2.875 3.445
H -4.363 -1.085 2.920
O -5.596 -2.740 -0.833
O -3.231 -3.247 0.779
O -4.010 -5.311 2.082
H -11.008 2.485 7.144
O -17.269 -1.415 5.530
H -21.053 -6.112 5.291
F -12.428 -6.623 -1.372
H -19.583 -6.068 3.365
H -8.624 -6.912 2.166
C -9.364 0.764 4.709
O -3.448 -1.409 2.865
Na -20.038 -6.257 0.395
H -12.027 -10.671 -1.617
H -15.360 -12.095 -3.664
H -0.994 -3.524 3.348
O -13.525 -4.185 1.383
O -22.389 -5.149 1.387
O -9.734 -3.434 1.404
O -6.666 -4.331 2.224
H -19.347 -9.959 1.855
O -14.386 0.536 5.209
H -5.367 2.766 5.633
H -9.681 -3.621 2.379
H -16.306 -4.536 2.575
H -6.730 -3.650 2.952
O -5.285 -1.228 5.475
O -11.121 -4.532 -1.703
O -11.337 -5.615 0.621
O -11.053 -7.030 3.125
O -5.767 -6.770 -0.003
H -12.185 -0.214 2.665
H -9.296 -9.099 0.973
H -9.983 1.165 3.899
O -17.680 -9.557 1.043
O -15.369 -3.199 6.484
O -15.879 -5.769 1.387
P -20.168 -3.549 4.219
Na -15.429 -5.123 5.070
H -13.321 -7.958 0.523
H -7.676 3.910 9.191
O -21.685 -6.853 5.494
O -5.908 -3.660 6.009
H -18.673 -7.101 2.607
H -18.682 -4.004 0.347
H -7.620 1.101 6.741
H -10.287 -4.174 1.052
O -16.369 -3.854 3.304
H -17.292 -8.348 -2.934
H -13.053 -9.350 1.628
P -16.665 -5.879 0.079
H -5.714 -4.587 2.151
H -9.715 -0.228 5.005
H -15.485 -8.001 3.740
H -10.800 -2.880 9.451
H -4.354 -4.182 5.180
O -6.946 0.973 10.124
H -11.743 -8.989 -1.060
F -10.608 -1.562 6.899
H -3.671 -4.701 3.846
O -17.128 -4.525 -0.481
H -17.761 -6.314 6.698
O -21.536 -3.468 3.532
H -16.175 -10.101 -4.292
H -11.200 -6.538 2.282
H -8.314 0.726 4.399
C -13.672 -8.950 0.818
H -5.913 1.428 3.661
P -2.868 -4.637 1.309
O -9.510 -4.001 4.144
H -3.688 1.773 3.672
H -5.104 -6.258 0.495
O -15.038 -7.116 3.721
H -5.384 0.426 4.799
H -12.760 -4.725 1.023
O -19.804 -4.938 4.748

Record 2
96
Lattice="2.469 -6.305 8.404 10.684 -0.962 -1.178 7.499 3.254 8.244" Properties=species:S:1:pos:R:3 comment="GGA-PBE H12OsC4NO3F3, relaxed" magmom_total_mub_per_cell=0.00 delta_e_f_mev_per_atom=-721.8 pbc="T T T"
H 3.014 0.009 0.491
C 10.377 -0.329 1.862
H 8.064 -1.740 11.899
H 17.638 -4.021 14.979
C 10.275 -3.683 13.608
H 7.226 1.698 5.096
H 12.442 -0.139 7.182
Os 5.724 -1.338 3.503
H 14.337 0.611 4.990
C 13.090 0.735 7.322
O 10.981 -4.842 8.471
C 5.216 -5.511 8.179
H 12.808 -0.626 2.881
H 6.315 -4.623 10.480
H 7.676 -5.124 7.126
H 6.376 -2.369 7.547
C 5.727 -3.242 7.414
H 5.005 0.492 6.664
C 8.384 -2.437 12.681
C 10.534 -0.686 4.296
O 13.564 -2.711 10.905
F 15.242 -4.601 11.549
H 9.540 -4.254 11.082
F 8.283 1.646 9.065
F 7.681 -0.757 9.696
Os 11.731 -3.942 7.201
N 9.858 -2.717 12.529
H 17.709 0.248 10.049
H 13.426 -5.710 10.374
H 14.001 -1.066 5.551
H 7.844 -3.386 12.589
H 6.651 -2.946 9.919
O 10.474 -3.909 6.014
O 10.178 -0.103 9.456
H 4.681 -2.972 7.604
C 12.268 -1.576 2.789
C 7.562 -4.747 8.148
N 10.794 -1.296 2.942
H 4.182 -5.183 8.339
C 10.018 -2.581 2.796
H 10.835 -1.403 5.069
F 6.892 -0.459 2.122
F 13.759 -3.554 13.349
H 15.311 1.874 8.314
F 5.409 0.588 3.922
F 12.369 -5.659 6.406
H 9.817 -2.610 10.401
H 2.942 -4.261 5.421
H 11.347 -3.891 13.514
H 10.591 -0.788 0.890
C 10.118 -3.327 11.175
F 4.374 -0.855 2.122
O 14.684 -1.184 12.809
H 14.276 -1.643 7.923
H 15.647 -4.505 8.806
H 10.315 -0.726 11.898
C 15.436 1.498 7.291
O 7.088 -1.302 4.565
C 10.634 -1.432 12.674
H 5.836 -3.624 6.392
H 11.702 -1.650 12.552
H 12.588 -2.273 3.572
H 11.112 0.241 4.388
O 16.201 -2.258 10.877
H 12.829 1.515 6.597
H 9.305 -0.121 1.956
C 14.647 -0.189 5.674
N 14.521 0.316 7.090
H 5.341 -5.887 7.156
H 7.823 -5.528 8.874
O 5.967 -2.828 2.662
F 12.970 -3.255 5.774
C 14.925 -0.770 8.056
C 6.004 -3.824 9.796
N 6.131 -4.329 8.380
F 7.158 0.145 7.370
H 10.337 -3.287 3.573
H 18.890 -2.968 12.496
Os 14.928 -2.674 11.967
O 8.981 -1.680 7.642
Os 8.921 -0.071 8.269
H 14.816 -0.389 9.078
O 9.671 0.829 6.999
H 8.950 -2.363 2.918
H 8.209 -3.874 8.288
H 16.470 1.170 7.131
H 10.060 -3.225 14.580
F 16.278 -3.158 13.348
H 1.761 -1.045 2.975
H 12.976 1.112 8.345
O 11.671 -2.333 7.829
H 9.463 -0.468 4.396
O 4.450 -1.754 4.593
F 13.494 -4.157 8.100
H 15.971 -1.040 7.866
H 11.188 -3.545 11.075

Record 3
84
Lattice="-1.844 5.509 13.699 8.653 -9.156 -7.919 5.388 4.693 -0.568" Properties=species:S:1:pos:R:3 comment="GGA-PBE H13RuC6SN4O8F9, relaxed" magmom_total_mub_per_cell=0.00 delta_e_f_mev_per_atom=-1223.5 pbc="T T T"
F 4.183 6.758 6.542
H 8.323 2.797 7.326
O 1.267 2.553 3.937
H 4.568 0.655 3.620
F 3.207 5.038 4.110
O 6.169 -3.987 0.175
O 6.684 0.173 2.772
H 7.278 -2.611 -0.496
F 9.299 0.414 -3.160
S 7.339 -1.053 2.299
H 1.391 5.675 8.627
C 1.449 2.313 10.568
H 7.220 -1.065 -1.094
O 3.786 -1.889 3.476
O 6.841 -2.284 2.915
O 10.590 -1.358 -0.367
F 6.741 -5.713 -2.377
H 8.597 -3.696 1.498
O 9.173 -4.727 -5.049
H 10.384 0.675 2.468
F 1.655 2.288 9.224
O 4.214 1.440 7.500
F 5.271 2.435 1.121
C 4.273 0.117 -0.656
O 4.590 7.787 9.656
F 4.655 4.171 -0.078
F 2.033 -0.708 -0.846
H 8.319 1.525 1.159
O 6.066 4.093 3.123
H 6.478 0.021 5.248
H 1.825 1.199 7.045
N 9.115 3.447 7.335
C 7.172 -5.792 -1.080
Ru 8.966 -1.071 0.950
S 8.900 2.877 4.348
F 2.371 3.982 5.844
F 6.697 -2.865 -3.901
N 4.138 1.160 4.401
H 6.464 0.078 6.903
O 5.064 -0.617 -0.077
O 5.699 2.779 6.407
C 11.478 -0.498 -0.697
H 0.520 1.822 3.162
C 5.001 2.442 7.380
N 8.652 0.963 0.368
H 10.842 -1.419 -5.574
C 5.317 7.068 10.357
F 3.981 4.254 8.573
N 6.037 -0.379 6.083
H 5.587 0.852 -2.011
H 8.511 -2.031 -1.461
C 5.004 3.348 8.650
F 3.402 3.490 1.598
F 8.347 -5.100 -1.013
N 9.426 -3.097 1.430
H 9.541 1.370 0.048
F 3.932 -2.085 -2.647
O -0.107 1.156 2.467
O 6.854 0.857 -2.307
O 8.415 1.627 4.938
H 3.241 1.545 4.085
H 4.754 1.947 4.642
N 10.389 -0.348 2.385
F 6.159 4.066 8.757
H 11.344 -0.629 2.116
F 2.243 1.431 -0.374
H 6.308 -1.363 6.140
F 2.699 -0.082 1.153
C 10.690 -4.487 -3.200
Ru 3.907 -0.114 6.104
C 2.797 0.202 -0.167
H 7.973 1.044 -0.397
H 1.479 0.846 5.467
C 9.821 -5.335 -4.183
O 4.479 0.860 -1.713
H 6.650 4.376 6.061
F 10.059 -3.343 -2.821
H 10.235 -0.739 3.317
C 4.696 3.659 1.186
H 1.275 5.990 10.241
H 11.805 -2.611 -6.183
C 5.449 4.585 2.187
N 1.871 0.465 6.333
N 7.851 -1.780 -0.720

Which formula does entry 2 have?
H12OsC4NO3F3

What is the formula in the first record?
Na5P3H48C4NO27F3